Below is an optimized crystal structure of Er3Ga2Ge3, with properties calculated at the GGA-PBE level.

POSCAR file:
```
Er3Ga2Ge3
1.0
4.669 -3.715 0.000
4.669 3.715 0.000
0.000 0.000 9.382
Er Ga Ge
6 4 6
Direct
0.154 0.846 0.750
0.301 0.301 0.000
0.301 0.301 0.500
0.699 0.699 0.000
0.699 0.699 0.500
0.846 0.154 0.250
0.179 0.821 0.050
0.179 0.821 0.450
0.821 0.179 0.550
0.821 0.179 0.950
0.005 0.587 0.250
0.413 0.995 0.250
0.460 0.540 0.250
0.540 0.460 0.750
0.587 0.005 0.750
0.995 0.413 0.750
```

Computed properties:
symmetry	Cmcm (63)
DFT formation energy	-0.7064	eV per atom